Record 1
Entry from Materials Project: an optimized crystal structure of Cd2Bi2Te3Se3 (PBE).

Cell: 4.2507 4.2507 56.7614 Å, 90.00 90.00 120.00°
Space group R3m (No. 160, hexagonal axes)
Inequivalent atoms, fractional coordinates:
Cd1 0.0000 0.0000 0.0000
Cd2 0.0000 0.0000 0.4980
Bi1 0.0000 0.0000 0.1016
Bi2 0.0000 0.0000 0.6033
Te1 0.0000 0.0000 0.1940
Te2 0.0000 0.0000 0.6941
Te3 0.0000 0.0000 0.9035
Se1 0.0000 0.0000 0.3028
Se2 0.0000 0.0000 0.4072
Se3 0.0000 0.0000 0.8022

## Properties
For the energy of formation from the pure elements, the calculation gives -0.35 eV/atom. The calculation puts the total energy at -94.80 eV for the cell shown.

=====

Record 2
Entry from Materials Project: an optimized crystal structure of BaEuNbSbO6 (PBE).

Cell: 5.9741 6.0015 8.4581 Å, 90.48 90.43 90.27°
Space group P-1 (No. 2)
Inequivalent atoms, fractional coordinates:
Ba1 0.0042 0.0274 0.2504
Eu1 0.4904 0.5379 0.2536
Nb1 0.0000 0.5000 0.0000
Nb2 0.5000 0.0000 0.5000
Sb1 0.0000 0.5000 0.5000
Sb2 0.5000 0.0000 0.0000
O1 0.0940 0.5014 0.7672
O2 0.2011 0.7671 0.0391
O3 0.2313 0.7975 0.4691
O4 0.2683 0.3013 0.0517
O5 0.3082 0.2759 0.4548
O6 0.4354 0.0396 0.7343

## Properties
The energy above the most stable polymorph in this dataset is 0 meV per atom. For the energy of formation from the pure elements, the calculation gives -2.80 eV/atom. The calculation puts the total energy at -159.93 eV for the cell shown.

=====

> Among the records above, which one has the lowest energy of formation from the pure elements?

BaEuNbSbO6

=====

Copy entry 1 word for word.
Entry from Materials Project: an optimized crystal structure of Cd2Bi2Te3Se3 (PBE).

Cell: 4.2507 4.2507 56.7614 Å, 90.00 90.00 120.00°
Space group R3m (No. 160, hexagonal axes)
Inequivalent atoms, fractional coordinates:
Cd1 0.0000 0.0000 0.0000
Cd2 0.0000 0.0000 0.4980
Bi1 0.0000 0.0000 0.1016
Bi2 0.0000 0.0000 0.6033
Te1 0.0000 0.0000 0.1940
Te2 0.0000 0.0000 0.6941
Te3 0.0000 0.0000 0.9035
Se1 0.0000 0.0000 0.3028
Se2 0.0000 0.0000 0.4072
Se3 0.0000 0.0000 0.8022

## Properties
For the energy of formation from the pure elements, the calculation gives -0.35 eV/atom. The calculation puts the total energy at -94.80 eV for the cell shown.